## Li4Nb3Cr3Ni2O16 (PBE with a Hubbard U)

Data for a relaxed structure of Li4Nb3Cr3Ni2O16.

Unit cell a=6.053 b=6.053 c=9.816 alpha=89.89 beta=89.89 gamma=60.62
Fractional coordinates of all 28 atoms:
Li (0.332, 0.332, 0.099)
Li (0.992, 0.992, 0.994)
Li (0.989, 0.989, 0.509)
Li (0.664, 0.664, 0.627)
Nb (0.172, 0.172, 0.785)
Nb (0.834, 0.339, 0.285)
Nb (0.339, 0.834, 0.285)
Cr (0.662, 0.170, 0.785)
Cr (0.170, 0.662, 0.785)
Cr (0.832, 0.832, 0.285)
Ni (0.341, 0.341, 0.524)
Ni (0.673, 0.673, 0.986)
O (0.686, 0.161, 0.394)
O (0.482, 0.482, 0.667)
O (0.332, 0.332, 0.898)
O (0.000, 0.000, 0.688)
O (0.000, 0.000, 0.181)
O (0.161, 0.686, 0.394)
O (0.478, 0.035, 0.663)
O (0.035, 0.478, 0.663)
O (0.841, 0.841, 0.895)
O (0.158, 0.158, 0.396)
O (0.968, 0.512, 0.170)
O (0.512, 0.968, 0.170)
O (0.665, 0.665, 0.397)
O (0.846, 0.321, 0.898)
O (0.514, 0.514, 0.172)
O (0.321, 0.846, 0.898)

Summary:
- E: -202.724 eV/cell
- Spin magnetization: 13.0 μB per cell
- Space group: Cm